Record 1
Below is a relaxed Ca3CoO6 crystal, with properties calculated at the PBE with a Hubbard U level.

Unit cell a=8.8106 b=8.8133 c=9.2070 alpha=118.39 beta=90.41 gamma=119.68
Fractional positions:
1 Ca 0.0000 0.0000 0.0000
2 Ca 0.0350 0.7878 0.2489
3 Ca 0.1453 0.2986 0.5007
4 Ca 0.2526 0.1516 0.7509
5 Ca 0.2937 0.6464 0.9971
6 Ca 0.4010 0.5002 0.2503
7 Ca 0.4960 0.0005 0.4980
8 Ca 0.5473 0.7992 0.7487
9 Ca 0.6473 0.3001 0.9992
10 Ca 0.7464 0.1509 0.2471
11 Ca 0.7979 0.6488 0.4985
12 Ca 0.8969 0.5040 0.7481
13 Co 0.0282 0.4002 0.1318
14 Co 0.2688 0.8897 0.8661
15 Co 0.5192 0.4030 0.6317
16 Co 0.7646 0.8976 0.3663
17 O 0.0703 0.8332 0.7407
18 O 0.0902 0.3229 0.2627
19 O 0.1315 0.8206 0.0180
20 O 0.1633 0.3187 0.9818
21 O 0.2059 0.6216 0.7326
22 O 0.2241 0.6652 0.2587
23 O 0.2977 0.1140 0.4807
24 O 0.3376 0.1789 0.0212
25 O 0.3851 0.4750 0.7649
26 O 0.4138 0.9729 0.7357
27 O 0.4597 0.4623 0.4847
28 O 0.4753 0.9760 0.0128
29 O 0.5557 0.8267 0.2344
30 O 0.5884 0.3306 0.7571
31 O 0.6475 0.8377 0.5137
32 O 0.6533 0.3160 0.4760
33 O 0.7043 0.6232 0.2365
34 O 0.7342 0.6787 0.7624
35 O 0.8205 0.1350 0.9840
36 O 0.8322 0.1836 0.5158
37 O 0.8837 0.4685 0.2622
38 O 0.9028 0.9671 0.2399
39 O 0.9565 0.4676 0.9768
40 O 0.9872 0.9827 0.5225

Computed properties:
E above lowest polymorph   0 meV per atom
Space-group type   P1 (1)
Crystal system   triclinic



Record 2
Below is a relaxed LiFe4B4O12 crystal, with properties calculated at the PBE with a Hubbard U level.

Unit cell a=5.3165 b=9.0103 c=11.3990 alpha=67.00 beta=77.02 gamma=89.79
Fractional positions:
1 Li 0.0000 0.0000 0.0000
2 Li 0.1782 0.8607 0.2655
3 Fe 0.1771 0.5159 0.2787
4 Fe 0.2331 0.9013 0.5241
5 Fe 0.4240 0.4395 0.7750
6 Fe 0.4879 0.8113 0.0278
7 Fe 0.6744 0.0283 0.2742
8 Fe 0.7283 0.3981 0.5247
9 Fe 0.9159 0.9349 0.7755
10 Fe 0.9756 0.3224 0.0230
11 B 0.1753 0.1866 0.2735
12 B 0.2264 0.5629 0.5209
13 B 0.4294 0.7760 0.7735
14 B 0.4662 0.1482 0.0251
15 B 0.6895 0.6868 0.2772
16 B 0.7192 0.0609 0.5280
17 B 0.9243 0.2745 0.7808
18 B 0.9824 0.6509 0.0272
19 O 0.0445 0.3771 0.8216
20 O 0.1075 0.4595 0.4802
21 O 0.1510 0.7125 0.5004
22 O 0.1810 0.6388 0.0902
23 O 0.2148 0.8289 0.7205
24 O 0.2686 0.0328 0.3222
25 O 0.2766 0.3141 0.2871
26 O 0.3308 0.0058 0.0495
27 O 0.3611 0.2960 0.9736
28 O 0.4309 0.5064 0.5805
29 O 0.4484 0.6899 0.2448
30 O 0.5194 0.6342 0.7787
31 O 0.5457 0.8734 0.8194
32 O 0.6043 0.9631 0.4823
33 O 0.6286 0.2018 0.5246
34 O 0.7091 0.1469 0.0539
35 O 0.7211 0.3301 0.7210
36 O 0.7901 0.5361 0.3278
37 O 0.8237 0.8256 0.2571
38 O 0.8772 0.5234 0.0148
39 O 0.8909 0.8047 0.9745
40 O 0.9366 0.0089 0.5793
41 O 0.9724 0.1981 0.2123
42 O 0.9985 0.1232 0.8036

Computed properties:
E above lowest polymorph   1 meV per atom
Space-group type   P1 (1)
Crystal system   triclinic



Record 3
Below is a relaxed Er2MoO6 crystal, with properties calculated at the PBE with a Hubbard U level.

Unit cell a=9.8863 b=9.8863 c=5.3570 alpha=105.07 beta=105.07 gamma=67.93
Fractional positions:
1 Er 0.0515 0.2828 0.8773
2 Er 0.1058 0.8942 0.7500
3 Er 0.2828 0.0515 0.3773
4 Er 0.3629 0.6371 0.2500
5 Er 0.6371 0.3629 0.7500
6 Er 0.7172 0.9485 0.6227
7 Er 0.8942 0.1058 0.2500
8 Er 0.9485 0.7172 0.1227
9 Mo 0.2043 0.4873 0.5609
10 Mo 0.4873 0.2043 0.0609
11 Mo 0.5127 0.7957 0.9391
12 Mo 0.7957 0.5127 0.4391
13 O 0.0673 0.4756 0.2527
14 O 0.0724 0.1097 0.0781
15 O 0.1097 0.0724 0.5781
16 O 0.1625 0.6940 0.4182
17 O 0.1739 0.6158 0.8746
18 O 0.2107 0.3144 0.6366
19 O 0.3060 0.8375 0.0818
20 O 0.3144 0.2107 0.1366
21 O 0.3842 0.8261 0.6254
22 O 0.3910 0.4511 0.5137
23 O 0.4511 0.3910 0.0137
24 O 0.4756 0.0673 0.7527
25 O 0.5244 0.9327 0.2473
26 O 0.5489 0.6090 0.9863
27 O 0.6090 0.5489 0.4863
28 O 0.6158 0.1739 0.3746
29 O 0.6856 0.7893 0.8634
30 O 0.6940 0.1625 0.9182
31 O 0.7893 0.6856 0.3634
32 O 0.8261 0.3842 0.1254
33 O 0.8375 0.3060 0.5818
34 O 0.8903 0.9276 0.4219
35 O 0.9276 0.8903 0.9219
36 O 0.9327 0.5244 0.7473

Computed properties:
Space-group type   C2/c (15)
Crystal system   monoclinic



Record 4
Below is a relaxed Li6V3P8O29 crystal, with properties calculated at the PBE with a Hubbard U level.

Unit cell a=9.7987 b=9.8018 c=13.9068 alpha=89.92 beta=89.92 gamma=60.11
Fractional positions:
1 Li 0.0000 0.0000 0.0000
2 Li 0.0091 0.5515 0.4954
3 Li 0.1333 0.4145 0.9970
4 Li 0.1419 0.9800 0.4955
5 Li 0.2214 0.0947 0.8752
6 Li 0.2417 0.2193 0.3751
7 Li 0.5727 0.4165 0.4957
8 Li 0.5824 0.9784 0.0513
9 Li 0.6712 0.6524 0.3727
10 Li 0.6851 0.2384 0.8764
11 Li 0.8210 0.6301 0.8784
12 Li 0.8950 0.2819 0.4282
13 V 0.3409 0.8840 0.6874
14 V 0.3459 0.3187 0.1879
15 V 0.4720 0.7511 0.1820
16 V 0.4762 0.3199 0.6864
17 V 0.9039 0.8876 0.1933
18 V 0.9088 0.7521 0.6849
19 P 0.1365 0.0057 0.2792
20 P 0.1402 0.4076 0.7782
21 P 0.2249 0.2305 0.5944
22 P 0.2294 0.0911 0.0941
23 P 0.2333 0.6562 0.0655
24 P 0.2424 0.6502 0.5633
25 P 0.5728 0.9810 0.3087
26 P 0.5747 0.9868 0.8084
27 P 0.5924 0.5498 0.7778
28 P 0.5975 0.4047 0.2792
29 P 0.6781 0.6347 0.5915
30 P 0.6803 0.2287 0.0935
31 P 0.8169 0.6389 0.0938
32 P 0.8237 0.0944 0.5949
33 P 0.9944 0.9981 0.7810
34 P 0.9955 0.5455 0.2789
35 O 0.0027 0.6977 0.2685
36 O 0.0087 0.8371 0.7591
37 O 0.0839 0.8025 0.1094
38 O 0.0995 0.6361 0.6049
39 O 0.1181 0.3168 0.6879
40 O 0.1211 0.1124 0.1857
41 O 0.1283 0.1002 0.3680
42 O 0.1348 0.3163 0.5052
43 O 0.1527 0.0726 0.0052
44 O 0.1531 0.3179 0.8687
45 O 0.1589 0.9839 0.7788
46 O 0.1610 0.3987 0.2783
47 O 0.2286 0.6616 0.9590
48 O 0.2288 0.8069 0.6036
49 O 0.2397 0.5018 0.1067
50 O 0.2429 0.2412 0.0918
51 O 0.2430 0.6470 0.4558
52 O 0.2461 0.0625 0.5974
53 O 0.2885 0.4200 0.7588
54 O 0.2935 0.8522 0.2697
55 O 0.3777 0.6614 0.1117
56 O 0.3819 0.2262 0.6067
57 O 0.3974 0.9486 0.1099
58 O 0.3992 0.5084 0.6047
59 O 0.4187 0.1301 0.2686
60 O 0.4202 0.9932 0.7705
61 O 0.4302 0.7005 0.7595
62 O 0.4406 0.4039 0.2689
63 O 0.5271 0.7919 0.6058
64 O 0.5377 0.2017 0.1149
65 O 0.5697 0.5737 0.2746
66 O 0.5708 0.4035 0.7778
67 O 0.5727 0.9760 0.4155
68 O 0.5749 0.9872 0.9167
69 O 0.5816 0.1338 0.7694
70 O 0.5816 0.8285 0.2651
71 O 0.6530 0.2368 0.5957
72 O 0.6526 0.6572 0.0942
73 O 0.6610 0.3170 0.0034
74 O 0.6776 0.5599 0.8626
75 O 0.6825 0.5467 0.5012
76 O 0.6869 0.3261 0.3693
77 O 0.6959 0.5238 0.6812
78 O 0.7001 0.3177 0.1855
79 O 0.7178 0.9876 0.2639
80 O 0.7215 0.8342 0.7684
81 O 0.7974 0.8048 0.1095
82 O 0.8256 0.6555 0.5959
83 O 0.8257 0.9375 0.6018
84 O 0.8300 0.0646 0.0960
85 O 0.8974 0.1151 0.6947
86 O 0.9056 0.5449 0.3675
87 O 0.9078 0.0707 0.8728
88 O 0.9091 0.5281 0.1848
89 O 0.9120 0.5610 0.0053
90 O 0.9162 0.1116 0.5144
91 O 0.9908 0.5718 0.7781
92 O 0.9949 0.9813 0.2759

Computed properties:
E above lowest polymorph   4 meV per atom
Space-group type   P1 (1)
Crystal system   triclinic



Record 5
Below is a relaxed Sr2MgCrO4 crystal, with properties calculated at the PBE with a Hubbard U level.

Unit cell a=3.5096 b=4.0443 c=8.0143 alpha=89.96 beta=89.32 gamma=89.92
Fractional positions:
1 Sr 0.0000 0.0000 0.0000
2 Sr 0.4916 0.4995 0.6790
3 Mg 0.4857 0.5000 0.2450
4 Cr 0.9512 0.9993 0.4298
5 O 0.0226 0.9989 0.6876
6 O 0.4906 0.4993 0.9853
7 O 0.5160 0.9999 0.2494
8 O 0.9817 0.4993 0.3970

Computed properties:
E above lowest polymorph   0 meV per atom
Space-group type   P1 (1)
Crystal system   triclinic



Record 6
Below is a relaxed ZnNiP2WO9 crystal, with properties calculated at the PBE with a Hubbard U level.

Unit cell a=6.4682 b=7.6859 c=14.5100 alpha=90.02 beta=90.02 gamma=90.24
Fractional positions:
1 Zn 0.0000 0.0000 0.0000
2 Zn 0.0043 0.5597 0.5006
3 Zn 0.4988 0.0600 0.3674
4 Zn 0.5051 0.5000 0.8677
5 Ni 0.2507 0.0298 0.1836
6 Ni 0.2533 0.5295 0.6836
7 Ni 0.7507 0.0303 0.1840
8 Ni 0.7532 0.5303 0.6843
9 P 0.0014 0.1539 0.3738
10 P 0.0027 0.8775 0.7553
11 P 0.0039 0.4068 0.8741
12 P 0.0043 0.6823 0.2553
13 P 0.5014 0.9062 0.9939
14 P 0.5022 0.1824 0.6125
15 P 0.5034 0.6530 0.4936
16 P 0.5051 0.3778 0.1124
17 W 0.0023 0.1661 0.5662
18 W 0.0041 0.3937 0.0663
19 W 0.5025 0.8937 0.8016
20 W 0.5062 0.6666 0.3015
21 O 0.0007 0.0125 0.6761
22 O 0.0006 0.1520 0.1188
23 O 0.0019 0.3213 0.4377
24 O 0.0034 0.0079 0.4486
25 O 0.0036 0.2391 0.9376
26 O 0.0040 0.5525 0.9490
27 O 0.0037 0.6943 0.7110
28 O 0.0063 0.4075 0.6191
29 O 0.0083 0.5471 0.1763
30 O 0.1876 0.9082 0.8189
31 O 0.1890 0.6581 0.3194
32 O 0.2044 0.1476 0.3161
33 O 0.2071 0.4141 0.8165
34 O 0.2973 0.9135 0.0508
35 O 0.3007 0.6477 0.5517
36 O 0.3190 0.1532 0.5479
37 O 0.3195 0.4086 0.0494
38 O 0.4968 0.9079 0.2489
39 O 0.4976 0.5073 0.4187
40 O 0.5008 0.0474 0.6918
41 O 0.5011 0.7387 0.9301
42 O 0.5025 0.1946 0.1569
43 O 0.5027 0.3657 0.6568
44 O 0.5054 0.0522 0.9191
45 O 0.5073 0.6521 0.7489
46 O 0.5072 0.8208 0.4301
47 O 0.5127 0.5133 0.1911
48 O 0.6869 0.1531 0.5489
49 O 0.6874 0.4043 0.0468
50 O 0.7041 0.9128 0.0520
51 O 0.7072 0.6439 0.5508
52 O 0.7978 0.1463 0.3165
53 O 0.8004 0.4139 0.8166
54 O 0.8196 0.9053 0.8200
55 O 0.8207 0.6486 0.3195
56 O 0.9990 0.8654 0.2110

Computed properties:
Space-group type   P1 (1)
Crystal system   triclinic



| no. | E (eV for the cell shown) |
| --- | --- |
| 1 | -240.23 |
| 2 | -302.99 |
| 3 | -284.57 |
| 4 | -645.51 |
| 5 | -51.43 |
| 6 | -372.16 |